Entry 1:
Entry from Materials Project: an optimized crystal structure of Ca2Sb (meta-GGA r2SCAN).

Properties
- Final energy: -42.9 eV/f.u.
- ΔH_f (0 K): -1.053 eV/atom

Cell and atoms, written as extended XYZ:
```
6
Lattice="-1.8893 0.1028 -4.3641 0.7058 -4.6855 -0.4162 -7.0096 0.8570 5.6471" Properties=species:S:1:pos:R:3 pbc="T T T"
Ca -3.1809 -2.7799 -1.2808
Ca -4.8543 -0.9160 2.0798
Ca -7.1696 -3.7623 3.0150
Ca -8.4671 -1.3681 1.0410
Sb -1.9800 -0.3735 0.8484
Sb -6.0561 -3.3225 -0.0489
```


Entry 2:
Entry from Materials Project: an optimized crystal structure of Dy7Te2Ir2 (meta-GGA r2SCAN).

Properties
- Final energy: -391.0 eV/f.u.
- ΔH_f (0 K): -1.056 eV/atom

Cell and atoms, written as extended XYZ:
```
11
Lattice="-2.6966 -2.8797 0.0105 4.7981 -7.1821 3.6518 -0.8094 -1.9110 9.1451" Properties=species:S:1:pos:R:3 pbc="T T T"
Dy 2.1754 -7.4018 10.9905
Dy 0.3756 -5.7415 4.1380
Dy -1.1023 -7.0398 9.6310
Dy -2.0329 -3.4682 9.0281
Dy 2.1256 -7.3679 7.4849
Dy -2.0324 -3.4909 2.9425
Dy -0.3628 -2.3412 5.8774
Ir 0.7871 -3.4302 2.5422
Ir 1.5749 -9.5483 9.2170
Te -0.1396 -5.2479 7.1733
Te 3.4628 -5.9270 4.9598
```


Entry 3:
Entry from Materials Project: an optimized crystal structure of Tb3Al2 (meta-GGA r2SCAN).

Properties
- Final energy: -109.0 eV/f.u.
- ΔH_f (0 K): -0.376 eV/atom

Cell and atoms, written as extended XYZ:
```
20
Lattice="8.2379 0.0000 0.0000 0.0000 8.2379 0.0000 0.0000 0.0000 7.6507" Properties=species:S:1:pos:R:3 pbc="T T T"
Tb 5.7920 2.4459 3.8254
Tb 2.8723 5.3656 0.0000
Tb 6.5647 6.5647 0.0000
Tb 4.1190 0.0000 1.9124
Tb 4.1190 0.0000 5.7384
Tb 5.3656 2.8723 0.0000
Tb 0.0000 4.1190 5.7384
Tb 6.9911 6.9911 3.8254
Tb 0.0000 4.1190 1.9124
Tb 1.6732 1.6732 0.0000
Tb 2.4459 5.7920 3.8254
Tb 1.2468 1.2468 3.8254
Al 0.9657 7.2722 1.4710
Al 5.0847 5.0847 2.3542
Al 7.2722 0.9657 1.4710
Al 0.9657 7.2722 6.1798
Al 5.0847 5.0847 5.2965
Al 7.2722 0.9657 6.1798
Al 3.1532 3.1532 5.2965
Al 3.1532 3.1532 2.3542
```


Entry 4:
Entry from Materials Project: an optimized crystal structure of YbGa5Co (meta-GGA r2SCAN).

Properties
- Final energy: -110.1 eV/f.u.
- ΔH_f (0 K): -0.452 eV/atom

Cell and atoms, written as extended XYZ:
```
7
Lattice="-3.9372 -0.9087 0.9187 -0.8063 -0.5745 -4.0238 1.6306 -6.4627 0.5959" Properties=species:S:1:pos:R:3 pbc="T T T"
Ga 0.1012 -2.2861 -1.8276
Ga -1.4642 -2.4532 0.6436
Ga -2.3717 -0.7416 -1.5526
Ga 0.7232 -4.7511 -1.6003
Ga -0.8423 -4.9182 0.8709
Co 0.8153 -3.2314 0.2980
Yb 0.0000 0.0000 0.0000
```